A relaxed structure of Ba3Tb2WO9. Source: the Materials Project database, functional PBE with a Hubbard U.

Computed properties:
**Crystal system**: triclinic
**ρ**: 7.22 g/cm³
**Space group**: P-1, No. 2
**Corrected total energy (MP2020 scheme)**: -8.09 eV per atom
**ΔE_f**: -3.260 eV/atom

abc: 6.118 10.592 8.667
angles: 65.77 89.72 106.51
Element x y z (fractional)
W  0.996  0.498  0.502
W  0.670  0.836  0.831
O  0.298  0.193  0.407
O  0.860  0.707  0.919
O  0.957  0.003  0.748
O  0.021  0.963  0.269
O  0.123  0.321  0.053
O  0.681  0.811  0.618
O  0.807  0.626  0.414
O  0.709  0.331  0.585
O  0.494  0.974  0.734
O  0.544  0.012  0.280
O  0.648  0.846  0.054
O  0.369  0.140  0.926
O  0.019  0.487  0.279
O  0.646  0.370  0.064
O  0.173  0.359  0.599
O  0.986  0.523  0.716
O  0.382  0.671  0.919
O  0.284  0.663  0.415
Ba  0.172  0.841  0.084
Ba  0.492  0.494  0.762
Ba  0.822  0.167  0.922
Ba  0.175  0.840  0.572
Ba  0.845  0.167  0.411
Ba  0.495  0.492  0.250
Tb  0.333  0.167  0.167
Tb  0.666  0.829  0.336
Tb  0.000  0.505  0.998
Tb  0.333  0.167  0.667